1.
VASP calculation (GGA+U) on a geometry-optimized LiVBO4 structure.

**Formation energy**: -2.56 eV/atom
**Energy with MP2020 corrections**: -221.5 eV/cell
**V**: 11.3 Å³ per atom

abc: 8.3234 4.8522 8.1771
angles: 90.00 106.19 90.00
Space group Pc (No. 7)
Symmetry-distinct sites (fractional):
Li 0.0000 0.1722 0.0000 (multiplicity 2)
Li 0.4968 0.3111 0.3909 (multiplicity 2)
V 0.2473 0.1847 0.7603 (multiplicity 2)
V 0.7467 0.3200 0.1491 (multiplicity 2)
B 0.1212 0.3096 0.3783 (multiplicity 2)
B 0.6239 0.1946 0.7800 (multiplicity 2)
O 0.1124 0.1965 0.5438 (multiplicity 2)
O 0.1424 0.3895 0.8893 (multiplicity 2)
O 0.2619 0.1808 0.3250 (multiplicity 2)
O 0.4661 0.2828 0.8195 (multiplicity 2)
O 0.6223 0.1054 0.2523 (multiplicity 2)
O 0.6433 0.3435 0.6290 (multiplicity 2)
O 0.7626 0.2771 0.9297 (multiplicity 2)
O 0.9643 0.2307 0.2474 (multiplicity 2)

=====

2.
VASP calculation (GGA+U) on a geometry-optimized SrSmNiO4 structure.

**Formation energy**: -2.62 eV/atom
**Energy with MP2020 corrections**: -201.3 eV/cell
**V**: 12.8 Å³ per atom

abc: 5.3725 12.3702 5.3975
angles: 90.00 90.00 90.00
Space group Cmcm (No. 63)
Symmetry-distinct sites (fractional):
Sr 0.0000 0.1050 0.2500 (multiplicity 4)
Sm 0.0000 0.3848 0.2500 (multiplicity 4)
Ni 0.0000 0.2503 0.7500 (multiplicity 4)
O 0.0000 0.0893 0.7500 (multiplicity 4)
O 0.0000 0.4280 0.7500 (multiplicity 4)
O 0.2500 0.2500 0.0000 (multiplicity 8)

=====

3.
VASP calculation (GGA+U) on a geometry-optimized Ba2Co2ClF7 structure.

**Formation energy**: -3.05 eV/atom
**Energy with MP2020 corrections**: -139.8 eV/cell
**V**: 16.6 Å³ per atom

abc: 7.8275 5.8783 9.0387
angles: 90.00 106.78 90.00
Space group P2_1/m (No. 11)
Symmetry-distinct sites (fractional):
Ba 0.1687 0.2500 0.4125 (multiplicity 2)
Ba 0.1980 0.2500 0.9268 (multiplicity 2)
Co 0.3178 0.7500 0.1756 (multiplicity 2)
Co 0.3260 0.7500 0.7338 (multiplicity 2)
Cl 0.3828 0.7500 0.4693 (multiplicity 2)
F 0.1300 0.5074 0.1606 (multiplicity 4)
F 0.1386 0.5029 0.6546 (multiplicity 4)
F 0.2458 0.7500 0.9342 (multiplicity 2)
F 0.4949 0.0021 0.1722 (multiplicity 4)

=====

4.
VASP calculation (GGA+U) on a geometry-optimized LiP3W2O12 structure.

**Formation energy**: -2.44 eV/atom
**Energy with MP2020 corrections**: -589.7 eV/cell
**V**: 14.5 Å³ per atom

abc: 9.0622 9.2216 12.4918
angles: 90.00 90.00 90.00
Space group Pbcm (No. 57)
Symmetry-distinct sites (fractional):
Li 0.1464 0.2310 0.2500 (multiplicity 4)
P 0.0339 0.2500 0.0000 (multiplicity 4)
P 0.3989 0.6267 0.1320 (multiplicity 8)
W 0.2466 0.5229 0.5992 (multiplicity 8)
O 0.0559 0.6371 0.5617 (multiplicity 8)
O 0.1325 0.1781 0.0883 (multiplicity 8)
O 0.2068 0.5147 0.7500 (multiplicity 4)
O 0.3045 0.5270 0.0612 (multiplicity 8)
O 0.3437 0.5772 0.2500 (multiplicity 4)
O 0.3666 0.7133 0.6184 (multiplicity 8)
O 0.4362 0.1022 0.1240 (multiplicity 8)